Record 1
# NdFeSb3, optimized geometry, DFT PBE
data_NdFeSb3
_cell_length_a 12.726
_cell_length_b 6.147
_cell_length_c 12.134
_cell_angle_alpha 90.00
_cell_angle_beta 90.00
_cell_angle_gamma 90.00
_symmetry_space_group_name_H-M 'P b c m'
_symmetry_Int_Tables_number 57
loop_
_symmetry_equiv_pos_as_xyz
'x,y,z'
'-x,-y,-z'
'-x,-y,z+1/2'
'x,y,-z+1/2'
'x,-y+1/2,-z'
'-x,y+1/2,z'
'-x,y+1/2,-z+1/2'
'x,-y+1/2,z+1/2'
loop_
_atom_site_label
_atom_site_type_symbol
_atom_site_fract_x
_atom_site_fract_y
_atom_site_fract_z
Nd1 Nd 0.195 0.225 0.250
Nd2 Nd 0.201 0.750 0.000
Fe1 Fe 0.400 0.039 0.639
Sb1 Sb 0.003 0.013 0.624
Sb2 Sb 0.281 0.250 0.000
Sb3 Sb 0.284 0.731 0.250
Sb4 Sb 0.442 0.110 0.250
Sb5 Sb 0.472 0.750 0.000
# E above lowest polymorph in meV per atom: 0
# Formation energy from the elements in meV/atom: -601
# Total energy after the MP2020 corrections in eV for the cell shown: -229.0
# Energy in eV/atom: -5.61

Record 2
# NbN2Cl5, optimized geometry, DFT PBE
data_NbN2Cl5
_cell_length_a 7.085
_cell_length_b 7.085
_cell_length_c 18.745
_cell_angle_alpha 90.00
_cell_angle_beta 90.00
_cell_angle_gamma 90.00
_symmetry_space_group_name_H-M 'P 4/m n c'
_symmetry_Int_Tables_number 128
_symmetry_space_group_name_Hall '-P 4 2n'
loop_
_atom_site_label
_atom_site_type_symbol
_atom_site_fract_x
_atom_site_fract_y
_atom_site_fract_z
Nb1 Nb 0.000 0.000 0.117
N1 N 0.000 0.000 0.000
N2 N 0.000 0.000 0.500
N3 N 0.000 0.500 0.250
Cl1 Cl 0.000 0.000 0.241
Cl2 Cl 0.189 0.271 0.101
# Formation energy from the elements in meV/atom: -11
# Total energy after the MP2020 corrections in eV for the cell shown: -144.4
# Energy in eV/atom: -4.13

Record 3
# RbMg14Sb, optimized geometry, DFT PBE
data_RbMg14Sb
_cell_length_a 6.5261
_cell_length_b 6.5261
_cell_length_c 10.8715
_cell_angle_alpha 90.00
_cell_angle_beta 90.00
_cell_angle_gamma 120.00
_symmetry_space_group_name_H-M 'P -6 m 2'
_symmetry_Int_Tables_number 187
_symmetry_space_group_name_Hall 'P -6 2'
loop_
_atom_site_label
_atom_site_type_symbol
_atom_site_fract_x
_atom_site_fract_y
_atom_site_fract_z
Rb1 Rb 0.0000 0.0000 0.0000
Mg1 Mg 0.0063 0.5031 0.0000
Mg2 Mg 0.1719 0.3439 0.2611
Mg3 Mg 0.5026 0.0053 0.5000
Mg4 Mg 0.6667 0.3333 0.2443
Sb1 Sb 0.0000 0.0000 0.5000
# E above lowest polymorph in meV per atom: 45
# Formation energy from the elements in meV/atom: 103
# Total energy after the MP2020 corrections in eV for the cell shown: -25.9
# Energy in eV/atom: -1.60

Record 4
# CsHoZnSe3, optimized geometry, DFT PBE
data_CsHoZnSe3
_cell_length_a 4.172
_cell_length_b 16.297
_cell_length_c 11.003
_cell_angle_alpha 90.00
_cell_angle_beta 90.00
_cell_angle_gamma 90.00
_symmetry_space_group_name_H-M 'C m c m'
_symmetry_Int_Tables_number 63
_symmetry_space_group_name_Hall '-C 2c 2'
loop_
_atom_site_label
_atom_site_type_symbol
_atom_site_fract_x
_atom_site_fract_y
_atom_site_fract_z
Cs1 Cs 0.000 0.242 0.250
Ho1 Ho 0.000 0.500 0.000
Zn1 Zn 0.000 0.040 0.750
Se1 Se 0.000 0.116 0.558
Se2 Se 0.000 0.446 0.750
# Formation energy from the elements in meV/atom: -1650
# Total energy after the MP2020 corrections in eV for the cell shown: -108.5
# Energy in eV/atom: -4.28

Record 5
# Sr7CaIr2O12, optimized geometry, DFT PBE
data_Sr7CaIr2O12
_cell_length_a 9.8550
_cell_length_b 9.8550
_cell_length_c 11.7708
_cell_angle_alpha 90.00
_cell_angle_beta 90.00
_cell_angle_gamma 120.00
_symmetry_space_group_name_H-M 'R 3 2'
_symmetry_Int_Tables_number 155
_symmetry_space_group_name_Hall 'R 3 2"'
loop_
_atom_site_label
_atom_site_type_symbol
_atom_site_fract_x
_atom_site_fract_y
_atom_site_fract_z
Sr1 Sr 0.0000 0.0000 0.0000
Sr2 Sr 0.0000 0.3655 0.0000
Sr3 Sr 0.0000 0.6376 0.5000
Ca1 Ca 0.0000 0.0000 0.5000
Ir1 Ir 0.0000 0.0000 0.2534
O1 O 0.0258 0.8448 0.6432
O2 O 0.0268 0.1842 0.1514
# Formation energy from the elements in meV/atom: -2676
# Total energy after the MP2020 corrections in eV for the cell shown: -449.3
# Energy in eV/atom: -6.43

Record 6
# LiBiP2O7, optimized geometry, DFT PBE
data_LiBiP2O7
_cell_length_a 9.135
_cell_length_b 5.225
_cell_length_c 14.388
_cell_angle_alpha 90.00
_cell_angle_beta 115.72
_cell_angle_gamma 90.00
_symmetry_space_group_name_H-M 'P 1 21/c 1'
_symmetry_Int_Tables_number 14
loop_
_symmetry_equiv_pos_as_xyz
'x,y,z'
'-x,-y,-z'
'-x,y+1/2,-z+1/2'
'x,-y+1/2,z+1/2'
loop_
_atom_site_label
_atom_site_type_symbol
_atom_site_fract_x
_atom_site_fract_y
_atom_site_fract_z
Li1 Li 0.073 0.223 0.204
Bi1 Bi 0.244 0.239 0.977
P1 P 0.182 0.716 0.120
P2 P 0.304 0.750 0.339
O1 O 0.031 0.657 0.622
O2 O 0.164 0.077 0.608
O3 O 0.186 0.533 0.837
O4 O 0.218 0.011 0.831
O5 O 0.234 0.666 0.542
O6 O 0.327 0.723 0.734
O7 O 0.470 0.733 0.927
# E above lowest polymorph in meV per atom: 12
# Formation energy from the elements in meV/atom: -2524
# Total energy after the MP2020 corrections in eV for the cell shown: -316.1
# Energy in eV/atom: -6.75

Record 7
# ErFeNi4, optimized geometry, DFT PBE
data_ErFeNi4
_cell_length_a 4.8886
_cell_length_b 4.8886
_cell_length_c 3.9125
_cell_angle_alpha 90.00
_cell_angle_beta 90.00
_cell_angle_gamma 120.00
_symmetry_space_group_name_H-M 'P -6 m 2'
_symmetry_Int_Tables_number 187
_symmetry_space_group_name_Hall 'P -6 2'
loop_
_atom_site_label
_atom_site_type_symbol
_atom_site_fract_x
_atom_site_fract_y
_atom_site_fract_z
Er1 Er 0.0000 0.0000 0.0000
Fe1 Fe 0.6667 0.3333 0.0000
Ni1 Ni 0.0004 0.5002 0.5000
Ni2 Ni 0.3333 0.6667 0.0000
# Formation energy from the elements in meV/atom: -258
# Energy in eV/atom: -6.28

Record 8
# MnV, optimized geometry, DFT PBE
data_MnV
_cell_length_a 2.874
_cell_length_b 2.874
_cell_length_c 2.874
_cell_angle_alpha 90.00
_cell_angle_beta 90.00
_cell_angle_gamma 90.00
_symmetry_space_group_name_H-M 'P m -3 m'
_symmetry_Int_Tables_number 221
_symmetry_space_group_name_Hall '-P 4 2 3'
loop_
_atom_site_label
_atom_site_type_symbol
_atom_site_fract_x
_atom_site_fract_y
_atom_site_fract_z
Mn1 Mn 0.000 0.000 0.000
V1 V 0.500 0.500 0.500
# Formation energy from the elements in meV/atom: -284
# Energy in eV/atom: -9.41

Record 9
# Na6Ca8Nb16Si15S21O144, optimized geometry, DFT PBE
data_Na6Ca8Nb16Si15S21O144
_cell_length_a 8.989
_cell_length_b 15.575
_cell_length_c 23.414
_cell_angle_alpha 89.71
_cell_angle_beta 89.94
_cell_angle_gamma 89.97
_symmetry_space_group_name_H-M 'P 1'
_symmetry_Int_Tables_number 1
loop_
_symmetry_equiv_pos_as_xyz
'x,y,z'
loop_
_atom_site_label
_atom_site_type_symbol
_atom_site_fract_x
_atom_site_fract_y
_atom_site_fract_z
Na1 Na 0.000 0.000 0.000
Na2 Na 0.000 0.333 0.342
Na3 Na 0.487 0.498 0.502
Na4 Na 0.496 0.832 0.840
Na5 Na 0.504 0.494 0.001
Na6 Na 0.993 0.994 0.502
Ca1 Ca 0.000 0.003 0.863
Ca2 Ca 0.001 0.334 0.189
Ca3 Ca 0.002 0.332 0.492
Ca4 Ca 0.495 0.502 0.363
Ca5 Ca 0.495 0.834 0.689
Ca6 Ca 0.503 0.830 0.989
Ca7 Ca 0.506 0.491 0.862
Ca8 Ca 0.989 0.989 0.363
Nb1 Nb 0.001 0.337 0.982
Nb2 Nb 0.003 0.670 0.326
Nb3 Nb 0.012 0.667 0.532
Nb4 Nb 0.491 0.169 0.028
Nb5 Nb 0.494 0.492 0.148
Nb6 Nb 0.495 0.171 0.822
Nb7 Nb 0.496 0.168 0.539
Nb8 Nb 0.497 0.835 0.484
Nb9 Nb 0.502 0.162 0.317
Nb10 Nb 0.506 0.499 0.653
Nb11 Nb 0.507 0.826 0.192
Nb12 Nb 0.988 0.999 0.157
Nb13 Nb 0.994 0.335 0.688
Nb14 Nb 0.994 0.661 0.814
Nb15 Nb 0.998 0.668 0.037
Nb16 Nb 0.999 0.995 0.648
Si1 Si 0.138 0.188 0.591
Si2 Si 0.148 0.478 0.590
Si3 Si 0.208 0.165 0.926
Si4 Si 0.215 0.831 0.591
Si5 Si 0.282 0.328 0.091
Si6 Si 0.290 0.665 0.429
Si7 Si 0.356 0.686 0.091
Si8 Si 0.643 0.974 0.590
Si9 Si 0.645 0.308 0.927
Si10 Si 0.700 0.995 0.258
Si11 Si 0.710 0.335 0.589
Si12 Si 0.789 0.493 0.758
Si13 Si 0.789 0.835 0.090
Si14 Si 0.853 0.474 0.090
Si15 Si 0.853 0.807 0.430
S1 S 0.136 0.525 0.926
S2 S 0.137 0.802 0.923
S3 S 0.146 0.142 0.260
S4 S 0.147 0.851 0.256
S5 S 0.205 0.501 0.259
S6 S 0.292 0.000 0.760
S7 S 0.349 0.978 0.093
S8 S 0.350 0.351 0.756
S9 S 0.351 0.643 0.761
S10 S 0.358 0.302 0.423
S11 S 0.362 0.025 0.426
S12 S 0.635 0.023 0.923
S13 S 0.641 0.350 0.259
S14 S 0.644 0.683 0.588
S15 S 0.648 0.642 0.256
S16 S 0.722 0.666 0.923
S17 S 0.776 0.166 0.424
S18 S 0.849 0.144 0.756
S19 S 0.852 0.182 0.089
S20 S 0.854 0.851 0.760
S21 S 0.861 0.522 0.424
O1 O 0.059 0.439 0.931
O2 O 0.060 0.210 0.533
O3 O 0.062 0.885 0.922
O4 O 0.065 0.571 0.583
O5 O 0.071 0.427 0.645
O6 O 0.074 0.565 0.873
O7 O 0.074 0.765 0.262
O8 O 0.075 0.896 0.206
O9 O 0.079 0.089 0.612
O10 O 0.083 0.756 0.976
O11 O 0.087 0.228 0.253
O12 O 0.088 0.100 0.311
O13 O 0.094 0.755 0.575
O14 O 0.096 0.750 0.872
O15 O 0.097 0.577 0.977
O16 O 0.103 0.918 0.601
O17 O 0.105 0.427 0.254
O18 O 0.109 0.081 0.928
O19 O 0.110 0.247 0.647
O20 O 0.113 0.582 0.266
O21 O 0.117 0.254 0.937
O22 O 0.120 0.088 0.208
O23 O 0.133 0.901 0.307
O24 O 0.155 0.423 0.534
O25 O 0.173 0.655 0.482
O26 O 0.174 0.672 0.081
O27 O 0.175 0.346 0.034
O28 O 0.176 0.677 0.370
O29 O 0.179 0.651 0.769
O30 O 0.187 0.993 0.107
O31 O 0.192 0.335 0.745
O32 O 0.197 0.011 0.708
O33 O 0.197 0.307 0.421
O34 O 0.200 0.989 0.810
O35 O 0.202 0.015 0.422
O36 O 0.207 0.305 0.148
O37 O 0.290 0.807 0.649
O38 O 0.295 0.514 0.923
O39 O 0.297 0.489 0.309
O40 O 0.299 0.809 0.924
O41 O 0.303 0.510 0.207
O42 O 0.306 0.838 0.241
O43 O 0.316 0.149 0.267
O44 O 0.321 0.173 0.582
O45 O 0.322 0.176 0.869
O46 O 0.322 0.497 0.613
O47 O 0.322 0.848 0.535
O48 O 0.326 0.155 0.981
O49 O 0.356 0.927 0.041
O50 O 0.366 0.400 0.808
O51 O 0.373 0.591 0.709
O52 O 0.381 0.755 0.437
O53 O 0.386 0.082 0.767
O54 O 0.387 0.749 0.146
O55 O 0.390 0.582 0.427
O56 O 0.393 0.927 0.755
O57 O 0.394 0.415 0.100
O58 O 0.399 0.078 0.476
O59 O 0.403 0.249 0.371
O60 O 0.403 0.251 0.074
O61 O 0.407 0.602 0.812
O62 O 0.407 0.730 0.755
O63 O 0.412 0.256 0.476
O64 O 0.417 0.589 0.112
O65 O 0.418 0.934 0.143
O66 O 0.421 0.063 0.086
O67 O 0.423 0.066 0.372
O68 O 0.423 0.393 0.706
O69 O 0.425 0.263 0.764
O70 O 0.433 0.385 0.421
O71 O 0.435 0.714 0.034
O72 O 0.438 0.940 0.430
O73 O 0.559 0.940 0.922
O74 O 0.561 0.263 0.267
O75 O 0.564 0.398 0.930
O76 O 0.570 0.595 0.595
O77 O 0.570 0.724 0.539
O78 O 0.573 0.390 0.207
O79 O 0.573 0.947 0.648
O80 O 0.578 0.612 0.307
O81 O 0.579 0.071 0.870
O82 O 0.582 0.732 0.244
O83 O 0.583 0.071 0.569
O84 O 0.583 0.248 0.980
O85 O 0.586 0.919 0.237
O86 O 0.591 0.413 0.608
O87 O 0.597 0.083 0.269
O88 O 0.598 0.071 0.976
O89 O 0.601 0.249 0.582
O90 O 0.605 0.249 0.868
O91 O 0.613 0.401 0.310
O92 O 0.613 0.912 0.534
O93 O 0.616 0.588 0.205
O94 O 0.630 0.589 0.922
O95 O 0.630 0.730 0.641
O96 O 0.636 0.746 0.921
O97 O 0.667 0.488 0.100
O98 O 0.670 0.810 0.437
O99 O 0.674 0.168 0.370
O100 O 0.677 0.514 0.702
O101 O 0.678 0.162 0.474
O102 O 0.679 0.819 0.146
O103 O 0.683 0.152 0.764
O104 O 0.694 0.162 0.077
O105 O 0.698 0.831 0.753
O106 O 0.700 0.516 0.419
O107 O 0.704 0.478 0.815
O108 O 0.708 0.864 0.034
O109 O 0.786 0.361 0.532
O110 O 0.795 0.974 0.312
O111 O 0.796 0.016 0.921
O112 O 0.798 0.331 0.253
O113 O 0.803 0.666 0.577
O114 O 0.811 0.654 0.262
O115 O 0.816 0.317 0.646
O116 O 0.819 0.014 0.202
O117 O 0.819 0.662 0.975
O118 O 0.822 0.668 0.870
O119 O 0.826 0.310 0.938
O120 O 0.828 0.988 0.599
O121 O 0.861 0.246 0.420
O122 O 0.864 0.229 0.141
O123 O 0.867 0.089 0.421
O124 O 0.878 0.086 0.706
O125 O 0.883 0.901 0.810
O126 O 0.884 0.412 0.033
O127 O 0.892 0.749 0.368
O128 O 0.895 0.750 0.082
O129 O 0.897 0.571 0.475
O130 O 0.898 0.582 0.769
O131 O 0.904 0.416 0.741
O132 O 0.908 0.914 0.110
O133 O 0.911 0.231 0.744
O134 O 0.913 0.571 0.069
O135 O 0.913 0.745 0.481
O136 O 0.916 0.110 0.807
O137 O 0.919 0.572 0.369
O138 O 0.923 0.890 0.707
O139 O 0.924 0.447 0.147
O140 O 0.925 0.222 0.039
O141 O 0.929 0.093 0.097
O142 O 0.931 0.897 0.430
O143 O 0.934 0.762 0.768
O144 O 0.936 0.439 0.420
# Formation energy from the elements in meV/atom: -2597
# Total energy after the MP2020 corrections in eV for the cell shown: -1611.8
# Energy in eV/atom: -7.20

Which of these has the highest energy? RbMg14Sb